Density functional theory data (PBE) for Mg6VC after structural relaxation.

Cell: 3.0917 9.8360 10.4404 Å, 90.00 90.00 90.00°
Fractional coordinates of all 16 atoms:
Mg (0.0000, 0.0000, 0.0000)
Mg (0.0000, 0.1582, 0.2782)
Mg (0.0000, 0.3418, 0.7782)
Mg (0.0000, 0.5000, 0.5000)
Mg (0.0000, 0.6582, 0.7782)
Mg (0.0000, 0.8418, 0.2782)
Mg (0.5000, 0.0000, 0.7451)
Mg (0.5000, 0.2382, 0.5322)
Mg (0.5000, 0.2618, 0.0322)
Mg (0.5000, 0.5000, 0.2451)
Mg (0.5000, 0.7382, 0.0322)
Mg (0.5000, 0.7618, 0.5322)
V (0.0000, 0.0000, 0.4971)
V (0.0000, 0.5000, 0.9971)
C (0.5000, 0.0000, 0.3882)
C (0.5000, 0.5000, 0.8882)

Values from the calculation:
**Formation energy from the elements**: 0.21 eV/atom

---

Density functional theory data (PBE) for Mg6VC after structural relaxation.

Cell: 4.5393 5.7757 11.7542 Å, 90.00 90.00 90.00°
Fractional coordinates of all 16 atoms:
V (0.5000, 0.0000, 0.1809)
V (0.5000, 0.5000, 0.6809)
Mg (0.5000, 0.7559, 0.4423)
Mg (0.5000, 0.2559, 0.9423)
Mg (0.0000, 0.0000, 0.8197)
Mg (0.0000, 0.2593, 0.0943)
Mg (0.5000, 0.7441, 0.9423)
Mg (0.5000, 0.2441, 0.4423)
Mg (0.0000, 0.0000, 0.3277)
Mg (0.0000, 0.7407, 0.0943)
Mg (0.0000, 0.5000, 0.3197)
Mg (0.0000, 0.2407, 0.5943)
Mg (0.0000, 0.7593, 0.5943)
Mg (0.0000, 0.5000, 0.8277)
C (0.5000, 0.5000, 0.0984)
C (0.5000, 0.0000, 0.5984)

Values from the calculation:
**Formation energy from the elements**: 0.63 eV/atom